SrZrVSnO6 | PBE with a Hubbard U | relaxed

Calculated values
Crystal system = cubic
Spin magnetization = 1.000 Bohr magnetons per cell
ΔH_f (0 K) = -2.7637 eV/atom

POSCAR file:
```
SrZrVSnO6
1.0
0.000 -4.044 -4.044
4.044 0.000 -4.044
4.044 -4.044 0.000
O V Zr Sr Sn
6 1 1 1 1
Direct
0.741 0.259 0.741
0.741 0.259 0.259
0.259 0.741 0.741
0.259 0.259 0.741
0.741 0.741 0.259
0.259 0.741 0.259
0.500 0.500 0.500
0.000 0.000 0.000
0.750 0.750 0.750
0.250 0.250 0.250
```


V2SnO7 | PBE with a Hubbard U | relaxed

Calculated values
Crystal system = cubic
ΔH_f (0 K) = -2.2590 eV/atom

POSCAR file:
```
V2SnO7
1.0
8.948 0.000 0.000
0.000 8.948 0.000
0.000 0.000 8.948
O V Sn
28 8 4
Direct
0.439 0.202 0.408
0.439 0.298 0.908
0.702 0.408 0.061
0.092 0.561 0.702
0.798 0.908 0.061
0.561 0.798 0.592
0.939 0.202 0.092
0.500 0.000 0.000
0.061 0.798 0.908
0.092 0.939 0.202
0.298 0.592 0.939
0.202 0.408 0.439
0.202 0.092 0.939
0.908 0.061 0.798
0.061 0.702 0.408
0.000 0.000 0.500
0.500 0.500 0.500
0.298 0.908 0.439
0.408 0.439 0.202
0.561 0.702 0.092
0.408 0.061 0.702
0.798 0.592 0.561
0.592 0.939 0.298
0.939 0.298 0.592
0.702 0.092 0.561
0.000 0.500 0.000
0.908 0.439 0.298
0.592 0.561 0.798
0.885 0.385 0.115
0.115 0.615 0.885
0.385 0.115 0.885
0.615 0.885 0.115
0.115 0.885 0.385
0.615 0.615 0.615
0.385 0.385 0.385
0.885 0.115 0.615
0.000 0.000 0.000
0.500 0.500 0.000
0.500 0.000 0.500
0.000 0.500 0.500
```


SnW2O8 | PBE with a Hubbard U | relaxed

Calculated values
Crystal system = monoclinic
Energy relative to the lowest polymorph listed for this composition = 0.0000 eV/atom
Spin magnetization = 0.000 Bohr magnetons per cell
ΔH_f (0 K) = -2.0671 eV/atom

POSCAR file:
```
SnW2O8
1.0
5.884 0.000 0.000
0.000 5.096 0.000
0.000 4.930 9.581
O W Sn
16 4 2
Direct
0.605 0.252 0.880
0.893 0.179 0.395
0.395 0.748 0.120
0.104 0.669 0.390
0.893 0.821 0.105
0.104 0.331 0.110
0.656 0.720 0.368
0.656 0.280 0.132
0.107 0.179 0.895
0.344 0.720 0.868
0.344 0.280 0.632
0.395 0.252 0.380
0.896 0.331 0.610
0.605 0.748 0.620
0.896 0.669 0.890
0.107 0.821 0.605
0.831 0.273 0.991
0.169 0.727 0.009
0.169 0.273 0.491
0.831 0.727 0.509
0.339 0.500 0.750
0.661 0.500 0.250
```


SnW3O9 | PBE with a Hubbard U | relaxed

Calculated values
Crystal system = orthorhombic
Energy relative to the lowest polymorph listed for this composition = 0.0399 eV/atom
Spin magnetization = 3.048 Bohr magnetons per cell
ΔH_f (0 K) = -2.0053 eV/atom

POSCAR file:
```
SnW3O9
1.0
3.768 -6.536 0.000
3.768 6.536 0.000
0.000 0.000 7.645
Sn O W
2 18 6
Direct
0.059 0.059 0.250
0.941 0.941 0.750
0.218 0.436 0.750
0.603 0.801 0.750
0.436 0.218 0.750
0.000 0.500 0.000
0.785 0.211 0.250
0.801 0.603 0.750
0.500 0.500 0.500
0.500 0.000 0.500
0.000 0.500 0.500
0.199 0.397 0.250
0.397 0.199 0.250
0.215 0.789 0.750
0.564 0.782 0.250
0.782 0.564 0.250
0.500 0.500 0.000
0.500 0.000 0.000
0.789 0.215 0.750
0.211 0.785 0.250
0.488 0.488 0.750
0.507 0.006 0.250
0.493 0.994 0.750
0.512 0.512 0.250
0.006 0.507 0.250
0.994 0.493 0.750
```


SnWO4 | PBE with a Hubbard U | relaxed

Calculated values
Crystal system = cubic
Spin magnetization = 0.001 Bohr magnetons per cell
ΔH_f (0 K) = -1.9409 eV/atom

POSCAR file:
```
SnWO4
1.0
-6.323 -3.895 1.709
-0.392 -2.514 -7.183
4.235 -6.048 1.886
Sn O W
4 16 4
Direct
0.820 0.820 0.820
0.320 0.680 0.180
0.680 0.180 0.320
0.180 0.320 0.680
0.700 0.800 0.200
0.352 0.733 0.452
0.300 0.300 0.300
0.852 0.767 0.548
0.267 0.952 0.148
0.952 0.148 0.267
0.200 0.700 0.800
0.548 0.852 0.767
0.733 0.452 0.352
0.048 0.648 0.233
0.452 0.352 0.733
0.648 0.233 0.048
0.800 0.200 0.700
0.148 0.267 0.952
0.767 0.548 0.852
0.233 0.048 0.648
0.835 0.665 0.335
0.165 0.165 0.165
0.665 0.335 0.835
0.335 0.835 0.665
```


SnWO4 | PBE with a Hubbard U | relaxed

Calculated values
Crystal system = orthorhombic
Spin magnetization = 0.001 Bohr magnetons per cell
ΔH_f (0 K) = -2.0202 eV/atom

POSCAR file:
```
SnWO4
1.0
5.051 0.000 0.000
0.000 5.632 0.000
0.000 0.000 12.076
O Sn W
16 4 4
Direct
0.102 0.596 0.604
0.602 0.404 0.104
0.498 0.361 0.705
0.898 0.404 0.396
0.502 0.861 0.705
0.002 0.139 0.205
0.998 0.861 0.795
0.502 0.639 0.295
0.398 0.596 0.896
0.998 0.639 0.205
0.398 0.904 0.104
0.898 0.096 0.604
0.102 0.904 0.396
0.002 0.361 0.795
0.602 0.096 0.896
0.498 0.139 0.295
0.284 0.250 0.000
0.216 0.250 0.500
0.716 0.750 0.000
0.784 0.750 0.500
0.750 0.369 0.250
0.250 0.869 0.250
0.250 0.631 0.750
0.750 0.131 0.750
```


Sn3WO6 | PBE with a Hubbard U | relaxed

Calculated values
Crystal system = monoclinic
Spin magnetization = 0.001 Bohr magnetons per cell
ΔH_f (0 K) = -1.8581 eV/atom

POSCAR file:
```
Sn3WO6
1.0
-6.312 -3.311 -3.131
0.350 -1.521 -7.626
2.449 -13.848 -1.883
O Sn W
24 12 4
Direct
0.205 0.424 0.534
0.424 0.205 0.034
0.420 0.705 0.618
0.492 0.174 0.220
0.649 0.924 0.558
0.351 0.076 0.442
0.076 0.351 0.942
0.795 0.576 0.466
0.174 0.492 0.720
0.897 0.186 0.457
0.576 0.795 0.966
0.580 0.295 0.382
0.826 0.508 0.280
0.186 0.897 0.957
0.443 0.644 0.423
0.508 0.826 0.780
0.705 0.420 0.118
0.557 0.356 0.577
0.924 0.649 0.058
0.814 0.103 0.043
0.103 0.814 0.543
0.356 0.557 0.077
0.644 0.443 0.923
0.295 0.580 0.882
0.406 0.276 0.878
0.724 0.594 0.622
0.796 0.045 0.614
0.594 0.724 0.122
0.680 0.990 0.385
0.990 0.680 0.885
0.955 0.204 0.886
0.320 0.010 0.615
0.204 0.955 0.386
0.276 0.406 0.378
0.045 0.796 0.114
0.010 0.320 0.115
0.293 0.556 0.589
0.556 0.293 0.089
0.707 0.444 0.411
0.444 0.707 0.911
```


SnW3O9 | PBE with a Hubbard U | relaxed

Calculated values
Crystal system = monoclinic
Energy relative to the lowest polymorph listed for this composition = 0.0000 eV/atom
Spin magnetization = 3.257 Bohr magnetons per cell
ΔH_f (0 K) = -2.0452 eV/atom

POSCAR file:
```
SnW3O9
1.0
-3.770 -5.554 -3.812
5.834 -4.730 1.122
0.167 -4.380 6.216
O W Sn
18 6 2
Direct
0.000 0.500 0.000
0.250 0.429 0.790
0.750 0.571 0.210
0.000 0.000 0.500
0.250 0.803 0.798
0.000 0.500 0.500
0.500 0.500 0.500
0.750 0.202 0.580
0.250 0.215 0.218
0.250 0.606 0.192
0.250 0.798 0.420
0.750 0.394 0.808
0.750 0.797 0.414
0.500 0.500 0.000
0.500 0.000 0.500
0.750 0.785 0.782
0.750 0.197 0.202
0.250 0.203 0.586
0.250 0.503 0.497
0.750 0.497 0.503
0.750 0.996 0.503
0.250 0.004 0.497
0.250 0.493 0.997
0.750 0.507 0.003
0.250 0.944 0.996
0.750 0.056 0.004
```


no.,energy with MP2020 corrections (eV per cell)
1,-80.65
2,-317.61
3,-184.49
4,-226.97
5,-193.62
6,-195.52
7,-293.02
8,-228.01